No. 1
Density functional theory data (PBE+U) for Li3CrP2O8 after structural relaxation.

Output
Spin magnetization in μB per formula unit: 3.0
VASP energy in eV/cell: -379.56
Crystal system: triclinic
Formation energy in eV/atom: -2.6140

POSCAR file:
```
Li3CrP2O8
1.0
8.687 0.000 0.000
3.402 8.039 0.000
0.361 0.290 9.107
Li Cr P O
12 4 8 32
Direct
0.134 0.359 0.207
0.375 0.130 0.701
0.845 0.041 0.550
0.416 0.567 0.242
0.895 0.085 0.236
0.565 0.436 0.749
0.110 0.894 0.770
0.157 0.967 0.457
0.963 0.147 0.964
0.603 0.871 0.326
0.863 0.622 0.776
0.897 0.734 0.101
0.514 0.231 0.088
0.233 0.510 0.589
0.769 0.492 0.408
0.489 0.769 0.912
0.287 0.014 0.075
0.015 0.290 0.571
0.571 0.241 0.430
0.238 0.573 0.929
0.760 0.432 0.071
0.431 0.763 0.570
0.991 0.715 0.422
0.716 0.990 0.918
0.112 0.031 0.126
0.022 0.115 0.615
0.324 0.159 0.136
0.165 0.315 0.635
0.628 0.053 0.448
0.049 0.626 0.941
0.708 0.983 0.093
0.986 0.681 0.593
0.161 0.576 0.373
0.563 0.154 0.878
0.335 0.465 0.063
0.466 0.336 0.563
0.473 0.317 0.290
0.316 0.469 0.791
0.736 0.274 0.424
0.275 0.733 0.917
0.735 0.264 0.075
0.268 0.727 0.578
0.675 0.531 0.209
0.533 0.687 0.708
0.541 0.674 0.436
0.663 0.535 0.936
0.430 0.844 0.124
0.846 0.432 0.621
0.012 0.320 0.399
0.309 0.011 0.902
0.947 0.388 0.061
0.372 0.951 0.551
0.846 0.689 0.344
0.691 0.834 0.867
0.981 0.892 0.386
0.880 0.995 0.856
```

No. 2
Density functional theory data (PBE+U) for Li4CrP2O8 after structural relaxation.

Output
Spin magnetization in μB per formula unit: 4.0
VASP energy in eV/cell: -99.41
Crystal system: triclinic
Formation energy in eV/atom: -2.6135

POSCAR file:
```
Li4CrP2O8
1.0
-0.848 -2.045 -4.333
-1.712 -4.171 3.171
-5.155 3.208 0.221
Li Cr P O
4 1 2 8
Direct
0.155 0.297 0.567
0.329 0.560 0.171
0.672 0.440 0.829
0.845 0.703 0.433
0.001 0.000 0.000
0.378 0.792 0.709
0.622 0.208 0.291
0.265 0.602 0.862
0.259 0.684 0.467
0.295 0.184 0.262
0.281 0.047 0.773
0.719 0.953 0.227
0.705 0.816 0.738
0.741 0.315 0.533
0.734 0.398 0.138
```

No. 3
Density functional theory data (PBE+U) for LiCr2P3O11 after structural relaxation.

Output
Spin magnetization in μB per formula unit: 6.0
VASP energy in eV/cell: -248.97
Crystal system: monoclinic
Formation energy in eV/atom: -2.5975

POSCAR file:
```
LiCr2P3O11
1.0
4.307 5.712 0.000
-4.307 5.712 0.000
0.000 3.691 7.871
Li Cr P O
2 4 6 22
Direct
0.483 0.008 0.236
0.992 0.517 0.764
0.885 0.364 0.205
0.363 0.886 0.704
0.636 0.115 0.795
0.114 0.637 0.296
0.042 0.958 0.500
0.320 0.452 0.963
0.678 0.548 0.538
0.957 0.043 0.000
0.452 0.322 0.462
0.548 0.680 0.037
0.879 0.983 0.662
0.763 0.619 0.053
0.260 0.954 0.509
0.985 0.880 0.162
0.017 0.121 0.338
0.120 0.015 0.838
0.240 0.381 0.441
0.470 0.147 0.625
0.617 0.275 0.306
0.046 0.740 0.491
0.381 0.237 0.947
0.490 0.510 0.500
0.386 0.729 0.193
0.271 0.614 0.807
0.739 0.046 0.991
0.146 0.472 0.126
0.725 0.383 0.694
0.853 0.530 0.375
0.507 0.493 0.000
0.619 0.760 0.559
0.954 0.261 0.009
0.528 0.854 0.874
```

No. 4
Density functional theory data (PBE+U) for Li5CrP4O14 after structural relaxation.

Output
Spin magnetization in μB per formula unit: 3.0
VASP energy in eV/cell: -323.79
Crystal system: triclinic
Formation energy in eV/atom: -2.6412

POSCAR file:
```
Li5CrP4O14
1.0
-4.194 -0.243 -5.586
0.118 -8.014 -3.570
-7.742 -3.348 3.772
Li Cr P O
10 2 8 28
Direct
0.319 0.172 0.263
0.256 0.255 0.569
0.752 0.279 0.090
0.053 0.520 0.143
0.426 0.502 0.337
0.574 0.498 0.663
0.947 0.480 0.857
0.248 0.721 0.910
0.744 0.745 0.431
0.681 0.828 0.737
0.870 0.143 0.746
0.130 0.857 0.254
0.181 0.096 0.966
0.707 0.100 0.448
0.402 0.339 0.949
0.866 0.379 0.430
0.134 0.621 0.570
0.598 0.661 0.051
0.293 0.900 0.552
0.819 0.904 0.034
0.156 0.054 0.627
0.137 0.080 0.137
0.746 0.064 0.097
0.725 0.075 0.615
0.996 0.226 0.893
0.486 0.162 0.420
0.363 0.174 0.921
0.074 0.371 0.341
0.427 0.334 0.110
0.802 0.242 0.369
0.601 0.324 0.836
0.872 0.336 0.599
0.215 0.488 0.913
0.311 0.460 0.588
0.689 0.540 0.412
0.785 0.512 0.087
0.128 0.664 0.401
0.399 0.676 0.164
0.198 0.758 0.631
0.573 0.666 0.890
0.926 0.629 0.659
0.637 0.826 0.079
0.514 0.838 0.580
0.004 0.774 0.107
0.275 0.925 0.385
0.254 0.936 0.903
0.863 0.920 0.863
0.844 0.946 0.373
```

No. 5
Density functional theory data (PBE+U) for Li14Cr9P16O56 after structural relaxation.

Output
Spin magnetization in μB per formula unit: 36.0
VASP energy in eV/cell: -666.89
Crystal system: triclinic
Formation energy in eV/atom: -2.5900

POSCAR file:
```
Li14Cr9P16O56
1.0
11.217 0.215 -0.325
-2.816 9.259 -0.065
-5.439 3.258 11.071
Li Cr P O
14 9 16 56
Direct
0.132 0.935 0.593
0.024 0.645 0.395
0.377 0.042 0.913
0.127 0.440 0.082
0.374 0.543 0.410
0.493 0.354 0.827
0.502 0.856 0.318
0.498 0.144 0.682
0.507 0.646 0.173
0.626 0.457 0.590
0.873 0.560 0.918
0.623 0.958 0.087
0.976 0.355 0.605
0.868 0.065 0.407
0.220 0.699 0.921
0.255 0.567 0.702
0.222 0.197 0.423
0.000 0.000 0.000
0.730 0.927 0.791
0.270 0.073 0.209
0.778 0.803 0.577
0.745 0.433 0.298
0.780 0.301 0.079
0.062 0.977 0.777
0.305 0.360 0.993
0.062 0.476 0.273
0.461 0.808 0.867
0.210 0.236 0.662
0.301 0.858 0.492
0.206 0.740 0.159
0.535 0.685 0.631
0.465 0.315 0.369
0.794 0.260 0.841
0.699 0.142 0.508
0.790 0.764 0.338
0.539 0.192 0.133
0.938 0.524 0.727
0.695 0.640 0.007
0.938 0.023 0.223
0.001 0.582 0.840
0.199 0.922 0.863
0.029 0.538 0.665
0.100 0.158 0.728
0.314 0.741 0.797
0.468 0.841 0.980
0.204 0.715 0.519
0.278 0.985 0.524
0.302 0.398 0.866
0.184 0.398 0.614
0.105 0.658 0.231
0.004 0.086 0.333
0.158 0.159 0.560
0.302 0.901 0.366
0.198 0.418 0.360
0.181 0.905 0.110
0.519 0.941 0.789
0.540 0.667 0.914
0.352 0.202 0.753
0.029 0.043 0.157
0.155 0.666 0.056
0.451 0.822 0.588
0.480 0.551 0.711
0.350 0.714 0.247
0.720 0.511 0.978
0.783 0.784 0.968
0.320 0.242 0.301
0.471 0.343 0.483
0.529 0.657 0.517
0.680 0.758 0.699
0.217 0.216 0.032
0.280 0.489 0.022
0.650 0.286 0.753
0.520 0.449 0.289
0.549 0.178 0.412
0.845 0.334 0.944
0.971 0.957 0.843
0.648 0.798 0.247
0.460 0.333 0.086
0.481 0.059 0.211
0.819 0.095 0.890
0.802 0.582 0.640
0.698 0.099 0.634
0.842 0.841 0.440
0.996 0.914 0.667
0.895 0.342 0.769
0.816 0.602 0.386
0.698 0.602 0.134
0.722 0.015 0.476
0.796 0.285 0.481
0.532 0.159 0.020
0.686 0.259 0.203
0.900 0.842 0.272
0.971 0.462 0.335
0.801 0.078 0.137
0.999 0.418 0.160
```

No. 6
Density functional theory data (PBE+U) for Li2CrPO5 after structural relaxation.

Output
Spin magnetization in μB per formula unit: 3.0
VASP energy in eV/cell: -489.63
Crystal system: monoclinic
Formation energy in eV/atom: -2.5571

POSCAR file:
```
Li2CrPO5
1.0
-3.562 -1.881 -3.150
9.124 -3.952 -7.958
4.902 -11.967 1.603
Li Cr P O
16 8 8 40
Direct
0.736 0.826 0.351
0.762 0.346 0.079
0.212 0.177 0.151
0.730 0.585 0.575
0.230 0.915 0.425
0.712 0.323 0.849
0.764 0.326 0.351
0.738 0.846 0.079
0.262 0.154 0.921
0.236 0.674 0.649
0.288 0.677 0.151
0.770 0.085 0.575
0.270 0.415 0.425
0.788 0.823 0.849
0.238 0.654 0.921
0.264 0.174 0.649
0.725 0.131 0.061
0.269 0.690 0.438
0.775 0.631 0.061
0.769 0.810 0.562
0.231 0.190 0.438
0.225 0.369 0.939
0.731 0.310 0.562
0.275 0.869 0.939
0.224 0.928 0.162
0.226 0.412 0.663
0.276 0.428 0.162
0.726 0.088 0.337
0.274 0.912 0.663
0.724 0.572 0.838
0.774 0.588 0.337
0.776 0.072 0.838
0.926 0.953 0.136
0.039 0.220 0.995
0.376 0.045 0.121
0.618 0.655 0.388
0.269 0.854 0.296
0.160 0.358 0.101
0.799 0.146 0.206
0.927 0.404 0.644
0.953 0.726 0.493
0.574 0.453 0.136
0.461 0.720 0.995
0.317 0.545 0.603
0.817 0.955 0.397
0.124 0.545 0.121
0.453 0.774 0.507
0.427 0.096 0.356
0.882 0.155 0.388
0.231 0.354 0.296
0.299 0.354 0.794
0.660 0.142 0.899
0.340 0.858 0.101
0.701 0.646 0.206
0.769 0.646 0.704
0.118 0.845 0.612
0.573 0.904 0.644
0.547 0.226 0.493
0.876 0.455 0.879
0.183 0.045 0.603
0.683 0.455 0.397
0.539 0.280 0.005
0.426 0.547 0.864
0.047 0.274 0.507
0.073 0.596 0.356
0.201 0.854 0.794
0.840 0.642 0.899
0.731 0.146 0.704
0.382 0.345 0.612
0.624 0.955 0.879
0.961 0.780 0.005
0.074 0.047 0.864
```

No. 7
Density functional theory data (PBE+U) for LiCrP2O7 after structural relaxation.

Output
VASP energy in eV/cell: -316.75
Crystal system: monoclinic
Formation energy in eV/atom: -2.6337

POSCAR file:
```
LiCrP2O7
1.0
8.249 0.000 0.000
0.000 6.683 0.000
0.000 2.409 8.852
Li Cr P O
4 4 8 28
Direct
0.073 0.743 0.249
0.927 0.257 0.751
0.573 0.257 0.751
0.427 0.743 0.249
0.434 0.750 0.750
0.066 0.750 0.750
0.934 0.250 0.250
0.566 0.250 0.250
0.750 0.497 0.442
0.250 0.503 0.558
0.750 0.916 0.527
0.750 0.584 0.972
0.750 0.005 0.057
0.250 0.416 0.028
0.250 0.995 0.943
0.250 0.084 0.473
0.250 0.260 0.560
0.250 0.238 0.944
0.093 0.981 0.852
0.407 0.981 0.852
0.593 0.019 0.148
0.907 0.019 0.148
0.750 0.762 0.056
0.750 0.386 0.111
0.097 0.415 0.119
0.403 0.415 0.119
0.250 0.863 0.103
0.097 0.087 0.381
0.403 0.087 0.381
0.750 0.115 0.389
0.593 0.481 0.351
0.903 0.585 0.881
0.250 0.633 0.397
0.750 0.740 0.440
0.907 0.481 0.351
0.750 0.367 0.603
0.093 0.519 0.649
0.407 0.519 0.649
0.250 0.885 0.611
0.597 0.913 0.619
0.903 0.913 0.619
0.750 0.137 0.897
0.597 0.585 0.881
0.250 0.614 0.889
```

No. 8
Density functional theory data (PBE+U) for Li2Cr2P3O12 after structural relaxation.

Output
Spin magnetization in μB per formula unit: 5.0
VASP energy in eV/cell: -270.57
Crystal system: triclinic
Formation energy in eV/atom: -2.5678

POSCAR file:
```
Li2Cr2P3O12
1.0
8.320 0.000 0.000
4.139 7.270 0.000
4.127 2.431 7.507
Li Cr P O
4 4 6 24
Direct
0.331 0.076 0.856
0.081 0.737 0.865
0.919 0.263 0.135
0.669 0.924 0.144
0.354 0.351 0.950
0.144 0.148 0.569
0.856 0.852 0.431
0.646 0.649 0.050
0.752 0.036 0.751
0.035 0.463 0.750
0.467 0.747 0.748
0.533 0.253 0.252
0.965 0.537 0.250
0.248 0.964 0.249
0.538 0.171 0.800
0.894 0.119 0.726
0.844 0.467 0.909
0.132 0.256 0.735
0.801 0.996 0.580
0.172 0.495 0.801
0.490 0.536 0.805
0.486 0.795 0.889
0.787 0.842 0.912
0.384 0.198 0.430
0.742 0.116 0.264
0.005 0.614 0.576
0.995 0.386 0.424
0.258 0.884 0.736
0.616 0.802 0.570
0.213 0.158 0.088
0.514 0.205 0.111
0.510 0.464 0.195
0.828 0.505 0.199
0.199 0.004 0.420
0.868 0.744 0.265
0.156 0.533 0.091
0.106 0.881 0.274
0.462 0.829 0.200
```